# RbPrSe2O8

A relaxed structure of RbPrSe2O8 (PBE, the Materials Project).

SG = P2_1/c, No. 14
MP2020-corrected energy = -305.635 eV per cell
Formation enthalpy at 0 K = -2.006 eV per atom

Cell: 7.591 9.110 11.294 Å, 88.40 90.00 90.00°
Fractional positions:
Rb (0.850, 0.567, 0.662)
Rb (0.650, 0.567, 0.162)
Rb (0.150, 0.433, 0.338)
Rb (0.350, 0.433, 0.838)
O (0.503, 0.910, 0.820)
O (0.686, 0.250, 0.807)
O (0.814, 0.250, 0.307)
O (0.254, 0.706, 0.955)
O (0.139, 0.365, 0.606)
O (0.186, 0.750, 0.693)
O (0.680, 0.872, 0.031)
O (0.557, 0.111, 0.441)
O (0.523, 0.406, 0.373)
O (0.443, 0.889, 0.559)
O (0.497, 0.090, 0.180)
O (0.339, 0.136, 0.695)
O (0.023, 0.594, 0.127)
O (0.997, 0.910, 0.320)
O (0.977, 0.406, 0.873)
O (0.861, 0.635, 0.394)
O (0.839, 0.864, 0.805)
O (0.639, 0.635, 0.894)
O (0.746, 0.294, 0.045)
O (0.057, 0.889, 0.059)
O (0.180, 0.128, 0.469)
O (0.320, 0.128, 0.969)
O (0.820, 0.872, 0.531)
O (0.361, 0.365, 0.106)
O (0.943, 0.111, 0.941)
O (0.754, 0.294, 0.545)
O (0.246, 0.706, 0.455)
O (0.314, 0.750, 0.193)
O (0.477, 0.594, 0.627)
O (0.003, 0.090, 0.680)
O (0.661, 0.864, 0.305)
O (0.161, 0.136, 0.195)
Pr (0.835, 0.055, 0.152)
Pr (0.665, 0.055, 0.652)
Pr (0.165, 0.945, 0.848)
Pr (0.335, 0.945, 0.348)
Se (0.839, 0.274, 0.912)
Se (0.335, 0.186, 0.107)
Se (0.661, 0.274, 0.412)
Se (0.165, 0.186, 0.607)
Se (0.161, 0.726, 0.088)
Se (0.835, 0.814, 0.393)
Se (0.665, 0.814, 0.893)
Se (0.339, 0.726, 0.588)

***

# CuPO4

A relaxed structure of CuPO4 (PBE, the Materials Project).

SG = Fdd2, No. 43
Largest piezoelectric modulus = 1.33 C/m²
MP2020-corrected energy = -80.226 eV per cell
Formation enthalpy at 0 K = -1.801 eV per atom

Cell: 7.236 6.074 5.511 Å, 77.14 54.91 47.95°
Fractional positions:
O (0.356, 0.280, 0.604)
O (0.061, 0.757, 0.004)
O (0.604, 0.760, 0.356)
O (0.490, 0.646, 0.970)
O (0.970, 0.894, 0.490)
O (0.072, 0.246, 0.493)
O (0.004, 0.178, 0.061)
O (0.493, 0.189, 0.072)
P (0.139, 0.861, 0.139)
P (0.389, 0.111, 0.389)
Cu (0.026, 0.474, 0.026)
Cu (0.776, 0.224, 0.776)

***

# YMnFe

A relaxed structure of YMnFe (PBE, the Materials Project).

SG = Imma, No. 74
Formation enthalpy at 0 K = 0.050 eV per atom

Cell: 5.152 5.152 5.152 Å, 120.71 119.24 90.05°
Fractional positions:
Mn (0.000, 0.500, 0.500)
Mn (0.500, 0.500, 0.000)
Y (0.373, 0.123, 0.250)
Y (0.627, 0.877, 0.750)
Fe (0.000, 0.000, 0.500)
Fe (0.000, 0.500, 0.000)

***

# SrSeO3

A relaxed structure of SrSeO3 (PBE, the Materials Project).

SG = Pnma, No. 62
MP2020-corrected energy = -126.430 eV per cell
Formation enthalpy at 0 K = -2.316 eV per atom

Cell: 4.498 5.581 12.763 Å, 90.00 90.00 90.00°
Fractional positions:
O (0.379, 0.250, 0.448)
O (0.972, 0.489, 0.335)
O (0.121, 0.250, 0.948)
O (0.028, 0.989, 0.665)
O (0.528, 0.011, 0.835)
O (0.472, 0.989, 0.165)
O (0.528, 0.489, 0.835)
O (0.028, 0.511, 0.665)
O (0.472, 0.511, 0.165)
O (0.972, 0.011, 0.335)
O (0.621, 0.750, 0.552)
O (0.879, 0.750, 0.052)
Sr (0.977, 0.250, 0.151)
Sr (0.477, 0.750, 0.349)
Sr (0.023, 0.750, 0.849)
Sr (0.523, 0.250, 0.651)
Se (0.503, 0.750, 0.079)
Se (0.003, 0.250, 0.421)
Se (0.997, 0.750, 0.579)
Se (0.497, 0.250, 0.921)

***

# SnIr

A relaxed structure of SnIr (PBE, the Materials Project).

SG = P6_3/mmc, No. 194
Formation enthalpy at 0 K = -0.243 eV per atom

Cell: 4.032 4.032 5.674 Å, 90.00 90.00 120.00°
Fractional positions:
Sn (0.333, 0.667, 0.250)
Sn (0.667, 0.333, 0.750)
Ir (0.000, 0.000, 0.500)
Ir (0.000, 0.000, 0.000)

***

# MoPt3

A relaxed structure of MoPt3 (PBE, the Materials Project).

SG = R-3m, No. 166
Formation enthalpy at 0 K = -0.130 eV per atom

Cell: 9.368 9.368 9.368 Å, 17.19 17.19 17.19°
Fractional positions:
Pt (0.253, 0.253, 0.253)
Pt (0.500, 0.500, 0.500)
Pt (0.747, 0.747, 0.747)
Mo (0.000, 0.000, 0.000)